(1)
YAu3: relaxed, GGA-PBE. Values from VASP.

The structure in Quantum ESPRESSO input format:
```
&SYSTEM
  ibrav = 0, nat = 8, ntyp = 2
/
ATOMIC_SPECIES
Y 88.91 Y.upf
Au 196.97 Au.upf
CELL_PARAMETERS angstrom
5.083 0.000 0.000
0.000 6.212 0.000
0.000 0.000 5.181
ATOMIC_POSITIONS crystal
Y 0.250 0.250 0.155
Y 0.750 0.750 0.845
Au 0.250 0.507 0.659
Au 0.250 0.750 0.165
Au 0.250 0.993 0.659
Au 0.750 0.007 0.341
Au 0.750 0.250 0.835
Au 0.750 0.493 0.341
```

---

(2)
K2NdPCO7: relaxed, GGA-PBE. Values from VASP.

The structure in Quantum ESPRESSO input format:
```
&SYSTEM
  ibrav = 0, nat = 24, ntyp = 5
/
ATOMIC_SPECIES
K 39.10 K.upf
Nd 144.24 Nd.upf
P 30.97 P.upf
C 12.01 C.upf
O 16.00 O.upf
CELL_PARAMETERS angstrom
5.781 0.000 0.000
0.000 7.336 0.000
-0.553 0.000 10.088
ATOMIC_POSITIONS crystal
K 0.244 0.013 0.214
K 0.244 0.487 0.214
K 0.756 0.513 0.786
K 0.756 0.987 0.786
Nd 0.218 0.250 0.623
Nd 0.782 0.750 0.377
P 0.291 0.750 0.573
P 0.709 0.250 0.427
C 0.268 0.250 0.906
C 0.732 0.750 0.094
O 0.061 0.250 0.846
O 0.184 0.750 0.427
O 0.211 0.575 0.644
O 0.211 0.925 0.644
O 0.304 0.250 0.031
O 0.438 0.250 0.431
O 0.442 0.250 0.826
O 0.558 0.750 0.174
O 0.562 0.750 0.569
O 0.696 0.750 0.969
O 0.789 0.075 0.356
O 0.789 0.425 0.356
O 0.816 0.250 0.573
O 0.939 0.750 0.154
```

---

(3)
BaGdCl5: relaxed, GGA-PBE. Values from VASP.

The structure in Quantum ESPRESSO input format:
```
&SYSTEM
  ibrav = 0, nat = 14, ntyp = 3
/
ATOMIC_SPECIES
Ba 137.33 Ba.upf
Gd 157.25 Gd.upf
Cl 35.45 Cl.upf
CELL_PARAMETERS angstrom
2.788 -9.738 0.000
2.788 9.738 0.000
-0.396 0.000 6.921
ATOMIC_POSITIONS crystal
Ba 0.172 0.828 0.750
Ba 0.828 0.172 0.250
Gd 0.423 0.577 0.750
Gd 0.577 0.423 0.250
Cl 0.127 0.873 0.250
Cl 0.226 0.291 0.403
Cl 0.291 0.226 0.903
Cl 0.305 0.681 0.001
Cl 0.319 0.695 0.499
Cl 0.681 0.305 0.501
Cl 0.695 0.319 0.999
Cl 0.709 0.774 0.097
Cl 0.774 0.709 0.597
Cl 0.873 0.127 0.750
```

---

(4)
Ba2BN2Cl: relaxed, GGA-PBE. Values from VASP.

The structure in Quantum ESPRESSO input format:
```
&SYSTEM
  ibrav = 0, nat = 72, ntyp = 4
/
ATOMIC_SPECIES
Ba 137.33 Ba.upf
B 10.81 B.upf
N 14.01 N.upf
Cl 35.45 Cl.upf
CELL_PARAMETERS angstrom
-7.441 7.441 7.441
7.441 -7.441 7.441
7.441 7.441 -7.441
ATOMIC_POSITIONS crystal
Ba 0.000 0.063 0.500
Ba 0.000 0.437 0.500
Ba 0.000 0.750 0.500
Ba 0.063 0.063 0.063
Ba 0.063 0.500 0.000
Ba 0.091 0.750 0.841
Ba 0.091 0.841 0.250
Ba 0.250 0.091 0.841
Ba 0.250 0.659 0.409
Ba 0.409 0.250 0.659
Ba 0.409 0.659 0.750
Ba 0.437 0.437 0.437
Ba 0.437 0.500 0.000
Ba 0.500 0.000 0.063
Ba 0.500 0.000 0.437
Ba 0.500 0.000 0.750
Ba 0.659 0.409 0.250
Ba 0.659 0.750 0.409
Ba 0.750 0.409 0.659
Ba 0.750 0.500 0.000
Ba 0.750 0.750 0.750
Ba 0.750 0.841 0.091
Ba 0.841 0.091 0.750
Ba 0.841 0.250 0.091
B 0.250 0.789 0.711
B 0.250 0.961 0.539
B 0.539 0.250 0.961
B 0.539 0.789 0.578
B 0.578 0.539 0.789
B 0.711 0.250 0.789
B 0.711 0.961 0.922
B 0.789 0.578 0.539
B 0.789 0.711 0.250
B 0.922 0.711 0.961
B 0.961 0.539 0.250
B 0.961 0.922 0.711
N 0.018 0.594 0.197
N 0.018 0.924 0.821
N 0.197 0.018 0.594
N 0.197 0.679 0.603
N 0.303 0.897 0.821
N 0.303 0.906 0.482
N 0.482 0.303 0.906
N 0.482 0.679 0.576
N 0.576 0.482 0.679
N 0.576 0.594 0.897
N 0.594 0.197 0.018
N 0.594 0.897 0.576
N 0.603 0.197 0.679
N 0.603 0.906 0.924
N 0.679 0.576 0.482
N 0.679 0.603 0.197
N 0.821 0.018 0.924
N 0.821 0.303 0.897
N 0.897 0.576 0.594
N 0.897 0.821 0.303
N 0.906 0.482 0.303
N 0.906 0.924 0.603
N 0.924 0.603 0.906
N 0.924 0.821 0.018
Cl 0.141 0.282 0.891
Cl 0.141 0.359 0.250
Cl 0.218 0.359 0.609
Cl 0.250 0.141 0.359
Cl 0.250 0.609 0.891
Cl 0.282 0.891 0.141
Cl 0.359 0.250 0.141
Cl 0.359 0.609 0.218
Cl 0.609 0.218 0.359
Cl 0.609 0.891 0.250
Cl 0.891 0.141 0.282
Cl 0.891 0.250 0.609
```

---

(5)
BaCa2I6: relaxed, GGA-PBE. Values from VASP.

The structure in Quantum ESPRESSO input format:
```
&SYSTEM
  ibrav = 0, nat = 36, ntyp = 3
/
ATOMIC_SPECIES
Ba 137.33 Ba.upf
Ca 40.08 Ca.upf
I 126.90 I.upf
CELL_PARAMETERS angstrom
9.397 0.000 0.000
0.000 10.377 0.000
-7.218 0.000 15.953
ATOMIC_POSITIONS crystal
Ba 0.096 0.180 0.413
Ba 0.096 0.320 0.913
Ba 0.904 0.680 0.087
Ba 0.904 0.820 0.587
Ca 0.324 0.652 0.425
Ca 0.324 0.848 0.925
Ca 0.403 0.540 0.727
Ca 0.403 0.960 0.227
Ca 0.597 0.040 0.773
Ca 0.597 0.460 0.273
Ca 0.676 0.152 0.075
Ca 0.676 0.348 0.575
I 0.075 0.024 0.226
I 0.075 0.476 0.726
I 0.082 0.654 0.944
I 0.082 0.846 0.444
I 0.223 0.036 0.038
I 0.223 0.464 0.538
I 0.310 0.663 0.225
I 0.310 0.837 0.725
I 0.393 0.150 0.876
I 0.393 0.350 0.376
I 0.463 0.109 0.583
I 0.463 0.391 0.083
I 0.537 0.609 0.917
I 0.537 0.891 0.417
I 0.607 0.650 0.624
I 0.607 0.850 0.124
I 0.690 0.163 0.275
I 0.690 0.337 0.775
I 0.777 0.536 0.462
I 0.777 0.964 0.962
I 0.918 0.154 0.556
I 0.918 0.346 0.056
I 0.925 0.524 0.274
I 0.925 0.976 0.774
```

Summary:
E above lowest polymorph ... 65.2 meV/atom

---

(6)
MgTl3: relaxed, GGA-PBE. Values from VASP.

The structure in Quantum ESPRESSO input format:
```
&SYSTEM
  ibrav = 0, nat = 4, ntyp = 2
/
ATOMIC_SPECIES
Mg 24.30 Mg.upf
Tl 204.38 Tl.upf
CELL_PARAMETERS angstrom
0.000 3.859 3.859
3.859 0.000 3.859
3.859 3.859 0.000
ATOMIC_POSITIONS crystal
Mg 0.000 0.000 0.000
Tl 0.250 0.250 0.250
Tl 0.500 0.500 0.500
Tl 0.750 0.750 0.750
```

---

(7)
Na6Ti4Zn4Si3S9O48: relaxed, GGA-PBE. Values from VASP.

The structure in Quantum ESPRESSO input format:
```
&SYSTEM
  ibrav = 0, nat = 222, ntyp = 6
/
ATOMIC_SPECIES
Na 22.99 Na.upf
Ti 47.87 Ti.upf
Zn 65.41 Zn.upf
Si 28.09 Si.upf
S 32.06 S.upf
O 16.00 O.upf
CELL_PARAMETERS angstrom
8.739 0.000 0.000
-0.036 15.242 0.000
-0.051 -0.060 22.472
ATOMIC_POSITIONS crystal
Na 0.000 0.000 0.000
Na 0.000 0.331 0.829
Na 0.009 0.666 0.658
Na 0.127 0.499 0.243
Na 0.135 0.828 0.579
Na 0.352 0.327 0.082
Na 0.362 0.000 0.742
Na 0.482 0.163 0.159
Na 0.491 0.176 0.656
Na 0.495 0.498 0.494
Na 0.499 0.832 0.323
Na 0.504 0.505 0.997
Na 0.511 0.823 0.830
Na 0.622 0.998 0.249
Na 0.872 0.500 0.749
Na 0.981 0.321 0.328
Na 0.988 0.006 0.493
Na 0.998 0.681 0.162
Ti 0.002 0.333 0.475
Ti 0.011 0.989 0.136
Ti 0.480 0.498 0.632
Ti 0.496 0.835 0.978
Ti 0.500 0.829 0.476
Ti 0.503 0.492 0.348
Ti 0.506 0.175 0.508
Ti 0.508 0.501 0.851
Ti 0.974 0.996 0.346
Ti 0.985 0.674 0.010
Ti 0.989 0.992 0.849
Ti 0.992 0.329 0.978
Zn 0.002 0.660 0.510
Zn 0.007 0.325 0.674
Zn 0.488 0.160 0.012
Zn 0.494 0.827 0.181
Zn 0.497 0.171 0.813
Zn 0.498 0.825 0.675
Zn 0.501 0.504 0.144
Zn 0.508 0.162 0.320
Zn 0.984 0.664 0.821
Zn 0.990 0.680 0.308
Zn 0.992 0.005 0.643
Zn 0.994 0.320 0.177
Si 0.144 0.184 0.080
Si 0.210 0.825 0.080
Si 0.288 0.324 0.579
Si 0.345 0.688 0.579
Si 0.637 0.018 0.410
Si 0.650 0.312 0.408
Si 0.841 0.811 0.908
Si 0.847 0.850 0.240
Si 0.861 0.517 0.909
S 0.139 0.481 0.078
S 0.139 0.852 0.744
S 0.140 0.144 0.747
S 0.144 0.517 0.407
S 0.146 0.815 0.412
S 0.202 0.166 0.412
S 0.211 0.500 0.744
S 0.279 0.002 0.245
S 0.291 0.666 0.911
S 0.347 0.016 0.908
S 0.348 0.315 0.911
S 0.352 0.980 0.578
S 0.353 0.351 0.244
S 0.353 0.641 0.247
S 0.637 0.641 0.743
S 0.638 0.355 0.744
S 0.642 0.685 0.077
S 0.643 0.979 0.079
S 0.702 0.333 0.078
S 0.702 0.664 0.411
S 0.703 0.999 0.745
S 0.789 0.497 0.245
S 0.789 0.833 0.578
S 0.790 0.165 0.910
S 0.849 0.477 0.580
S 0.850 0.186 0.577
S 0.853 0.143 0.243
O 0.056 0.090 0.086
O 0.063 0.237 0.021
O 0.064 0.230 0.746
O 0.075 0.568 0.067
O 0.075 0.764 0.750
O 0.075 0.781 0.467
O 0.076 0.427 0.415
O 0.078 0.447 0.135
O 0.078 0.555 0.353
O 0.079 0.095 0.799
O 0.081 0.905 0.403
O 0.082 0.892 0.688
O 0.094 0.911 0.796
O 0.096 0.243 0.421
O 0.097 0.740 0.066
O 0.102 0.914 0.082
O 0.104 0.419 0.027
O 0.105 0.086 0.407
O 0.110 0.421 0.743
O 0.118 0.091 0.692
O 0.118 0.580 0.744
O 0.122 0.570 0.461
O 0.124 0.759 0.360
O 0.136 0.253 0.135
O 0.164 0.676 0.569
O 0.174 0.343 0.521
O 0.176 0.006 0.901
O 0.178 0.997 0.299
O 0.179 0.326 0.917
O 0.180 0.983 0.580
O 0.182 0.353 0.246
O 0.184 0.646 0.254
O 0.186 0.009 0.189
O 0.193 0.650 0.963
O 0.199 0.308 0.639
O 0.206 0.682 0.855
O 0.287 0.185 0.357
O 0.302 0.154 0.464
O 0.308 0.809 0.138
O 0.309 0.503 0.689
O 0.309 0.853 0.747
O 0.311 0.152 0.752
O 0.311 0.483 0.079
O 0.311 0.493 0.797
O 0.315 0.506 0.401
O 0.316 0.826 0.419
O 0.321 0.841 0.020
O 0.327 0.176 0.069
O 0.357 0.750 0.636
O 0.371 0.071 0.960
O 0.371 0.260 0.857
O 0.375 0.923 0.244
O 0.376 0.589 0.192
O 0.377 0.082 0.246
O 0.387 0.918 0.528
O 0.390 0.584 0.905
O 0.396 0.416 0.584
O 0.397 0.741 0.920
O 0.398 0.411 0.296
O 0.399 0.241 0.566
O 0.410 0.392 0.188
O 0.413 0.053 0.852
O 0.413 0.927 0.915
O 0.413 0.947 0.636
O 0.414 0.406 0.900
O 0.417 0.068 0.569
O 0.417 0.264 0.250
O 0.418 0.591 0.299
O 0.420 0.281 0.965
O 0.426 0.727 0.247
O 0.428 0.737 0.521
O 0.432 0.590 0.585
O 0.565 0.045 0.347
O 0.565 0.270 0.467
O 0.565 0.728 0.743
O 0.568 0.267 0.749
O 0.569 0.597 0.078
O 0.570 0.412 0.401
O 0.573 0.919 0.428
O 0.576 0.398 0.691
O 0.578 0.732 0.024
O 0.579 0.067 0.069
O 0.579 0.595 0.799
O 0.580 0.942 0.134
O 0.597 0.586 0.404
O 0.597 0.586 0.691
O 0.600 0.086 0.465
O 0.601 0.413 0.078
O 0.602 0.077 0.751
O 0.602 0.744 0.417
O 0.604 0.410 0.798
O 0.606 0.919 0.743
O 0.607 0.254 0.070
O 0.607 0.921 0.025
O 0.623 0.733 0.132
O 0.632 0.257 0.348
O 0.661 0.828 0.923
O 0.662 0.851 0.240
O 0.667 0.508 0.901
O 0.677 0.483 0.584
O 0.681 0.175 0.569
O 0.684 0.147 0.245
O 0.686 0.489 0.298
O 0.688 0.844 0.525
O 0.697 0.149 0.963
O 0.697 0.508 0.190
O 0.699 0.179 0.856
O 0.702 0.825 0.633
O 0.791 0.326 0.133
O 0.792 0.649 0.465
O 0.794 0.010 0.691
O 0.794 0.677 0.358
O 0.804 0.345 0.024
O 0.805 0.991 0.799
O 0.806 0.646 0.744
O 0.808 0.350 0.742
O 0.812 0.674 0.069
O 0.813 0.983 0.080
O 0.828 0.010 0.405
O 0.830 0.329 0.425
O 0.859 0.758 0.848
O 0.867 0.235 0.633
O 0.881 0.420 0.528
O 0.883 0.415 0.243
O 0.885 0.754 0.571
O 0.887 0.915 0.301
O 0.889 0.585 0.964
O 0.890 0.573 0.252
O 0.891 0.244 0.917
O 0.891 0.913 0.579
O 0.893 0.086 0.902
O 0.894 0.090 0.190
O 0.910 0.440 0.636
O 0.912 0.100 0.299
O 0.912 0.566 0.572
O 0.915 0.233 0.525
O 0.920 0.418 0.925
O 0.921 0.908 0.185
O 0.921 0.911 0.901
O 0.923 0.231 0.243
O 0.924 0.098 0.579
O 0.926 0.769 0.967
O 0.927 0.546 0.845
O 0.931 0.758 0.244
```

---

no.,ΔH_f (0 K) (eV/atom)
1,-0.7132
2,-2.7572
3,-2.8139
4,-1.5157
5,-1.8521
6,0.0621
7,-2.3421